# 1
Density functional theory data (PBE) for crystalline CeGaPt at its relaxed geometry.

Output
Space-group type: Pnma (62)
DFT formation energy, eV/atom: -1.01

Cell lengths 4.429, 7.086, 7.882 Å; angles 90.00, 90.00, 90.00 degrees
Positions (direct):
1 Ce 0.250 0.984 0.300
2 Ce 0.250 0.484 0.200
3 Ce 0.750 0.016 0.700
4 Ce 0.750 0.516 0.800
5 Ga 0.250 0.329 0.577
6 Ga 0.250 0.829 0.923
7 Ga 0.750 0.671 0.423
8 Ga 0.750 0.171 0.077
9 Pt 0.250 0.223 0.904
10 Pt 0.250 0.723 0.596
11 Pt 0.750 0.777 0.096
12 Pt 0.750 0.277 0.404

***

# 2
Density functional theory data (PBE) for crystalline Li2MgCd at its relaxed geometry.

Output
Space-group type: Fm-3m (225)
DFT formation energy, eV/atom: -0.17

Cell lengths 4.744, 4.744, 4.744 Å; angles 60.00, 60.00, 60.00 degrees
Positions (direct):
1 Li 0.250 0.250 0.250
2 Li 0.750 0.750 0.750
3 Mg 0.000 0.000 0.000
4 Cd 0.500 0.500 0.500

***

# 3
Density functional theory data (PBE) for crystalline Ni2S at its relaxed geometry.

Output
Space-group type: I4/mmm (139)
DFT formation energy, eV/atom: -0.10
Total energy after the MP2020 corrections, eV/atom: -5.332

Cell lengths 4.670, 4.670, 4.670 Å; angles 144.29, 144.29, 51.39 degrees
Positions (direct):
1 Ni 0.151 0.151 0.000
2 Ni 0.849 0.849 0.000
3 S 0.500 0.500 0.000

***

Which value of DFT formation energy does entry 1 give?
-1.01 eV/atom

***

The highest DFT formation energy belongs to which entry?
Ni2S

***

Among the records above, which one has the lowest DFT formation energy?
CeGaPt